This record from the Materials Project database describes MgH18C4SN8O9 after structural relaxation. The functional is GGA-PBE.

Values from the calculation:
Energy with MP2020 corrections   -6.178 eV/atom
Volume   1591.0 Å³/cell

POSCAR file:
```
MgH18C4SN8O9
1.0
9.421 0.000 0.000
0.000 14.873 0.000
-8.768 0.000 11.355
Mg H C S N O
4 72 16 4 32 36
Direct
0.217 0.176 0.339
0.217 0.324 0.839
0.783 0.676 0.161
0.783 0.824 0.661
0.049 0.038 0.695
0.049 0.462 0.195
0.050 0.070 0.920
0.050 0.430 0.420
0.070 0.738 0.462
0.070 0.762 0.962
0.147 0.517 0.695
0.147 0.983 0.195
0.148 0.690 0.847
0.148 0.810 0.347
0.162 0.674 0.065
0.162 0.826 0.565
0.182 0.164 0.089
0.182 0.336 0.589
0.204 0.698 0.263
0.204 0.802 0.763
0.224 0.007 0.691
0.224 0.493 0.191
0.267 0.190 0.015
0.267 0.310 0.515
0.282 0.021 0.480
0.282 0.479 0.980
0.319 0.514 0.547
0.319 0.986 0.047
0.320 0.004 0.389
0.320 0.496 0.889
0.322 0.644 0.983
0.322 0.856 0.483
0.323 0.623 0.503
0.323 0.877 0.003
0.422 0.659 0.331
0.422 0.841 0.831
0.432 0.221 0.782
0.432 0.279 0.282
0.451 0.111 0.746
0.451 0.389 0.246
0.549 0.611 0.754
0.549 0.889 0.254
0.568 0.721 0.718
0.568 0.779 0.218
0.578 0.159 0.169
0.578 0.341 0.669
0.677 0.123 0.997
0.677 0.377 0.497
0.678 0.144 0.517
0.678 0.356 0.017
0.680 0.504 0.111
0.680 0.996 0.611
0.681 0.014 0.953
0.681 0.486 0.453
0.718 0.521 0.020
0.718 0.979 0.520
0.733 0.690 0.485
0.733 0.810 0.985
0.776 0.507 0.809
0.776 0.993 0.309
0.796 0.198 0.237
0.796 0.302 0.737
0.818 0.664 0.411
0.818 0.836 0.911
0.838 0.174 0.435
0.838 0.326 0.935
0.852 0.190 0.653
0.852 0.310 0.153
0.853 0.017 0.805
0.853 0.483 0.305
0.930 0.238 0.038
0.930 0.262 0.538
0.950 0.570 0.580
0.950 0.930 0.080
0.951 0.538 0.805
0.951 0.962 0.305
0.042 0.244 0.454
0.042 0.256 0.954
0.078 0.563 0.393
0.078 0.937 0.893
0.234 0.137 0.746
0.234 0.363 0.246
0.403 0.737 0.918
0.403 0.763 0.418
0.597 0.237 0.582
0.597 0.263 0.082
0.766 0.637 0.754
0.766 0.863 0.254
0.922 0.063 0.107
0.922 0.437 0.607
0.958 0.744 0.046
0.958 0.756 0.546
0.484 0.062 0.295
0.484 0.438 0.795
0.516 0.562 0.205
0.516 0.938 0.705
0.011 0.515 0.633
0.011 0.985 0.133
0.079 0.728 0.027
0.079 0.772 0.527
0.155 0.184 0.011
0.155 0.316 0.511
0.165 0.054 0.708
0.165 0.446 0.208
0.254 0.565 0.486
0.254 0.935 0.986
0.283 0.684 0.913
0.283 0.816 0.413
0.339 0.706 0.327
0.339 0.794 0.827
0.393 0.155 0.768
0.393 0.345 0.268
0.607 0.655 0.732
0.607 0.845 0.232
0.661 0.206 0.173
0.661 0.294 0.673
0.717 0.184 0.587
0.717 0.316 0.087
0.746 0.065 0.014
0.746 0.435 0.514
0.835 0.554 0.792
0.835 0.946 0.292
0.845 0.684 0.489
0.845 0.816 0.989
0.921 0.228 0.473
0.921 0.272 0.973
0.989 0.015 0.867
0.989 0.485 0.367
0.002 0.634 0.332
0.002 0.866 0.832
0.045 0.197 0.381
0.045 0.303 0.881
0.153 0.196 0.761
0.153 0.304 0.261
0.248 0.040 0.404
0.248 0.460 0.904
0.321 0.567 0.101
0.321 0.933 0.601
0.390 0.144 0.297
0.390 0.356 0.797
0.405 0.521 0.805
0.405 0.979 0.305
0.430 0.234 0.497
0.430 0.266 0.997
0.464 0.062 0.184
0.464 0.438 0.684
0.536 0.562 0.316
0.536 0.938 0.816
0.570 0.734 0.003
0.570 0.766 0.503
0.595 0.021 0.695
0.595 0.479 0.195
0.610 0.644 0.203
0.610 0.856 0.703
0.679 0.067 0.399
0.679 0.433 0.899
0.752 0.540 0.096
0.752 0.960 0.596
0.847 0.696 0.739
0.847 0.804 0.239
0.955 0.697 0.119
0.955 0.803 0.619
0.998 0.134 0.168
0.998 0.366 0.668
```



This record from the Materials Project database describes AuSe after structural relaxation. The functional is GGA-PBE.

Values from the calculation:
Energy with MP2020 corrections   -3.469 eV/atom
Magnetization   0.0 μB/f.u.
Volume   86.8 Å³/cell

POSCAR file:
```
AuSe
1.0
4.152 0.000 0.000
-2.076 3.596 0.000
0.000 0.000 5.813
Au Se
2 2
Direct
0.000 0.000 0.000
0.000 0.000 0.500
0.333 0.667 0.250
0.667 0.333 0.750
```



This record from the Materials Project database describes In2S3O12 after structural relaxation. The functional is GGA-PBE.

Values from the calculation:
Energy with MP2020 corrections   -6.456 eV/atom
Magnetization   0.0 μB/f.u.
Energy relative to the lowest polymorph listed for this composition   0.017 eV per atom
Volume   1587.3 Å³/cell

POSCAR file:
```
In2S3O12
1.0
-5.297 7.057 -1.448
-1.312 -7.584 -4.552
-14.270 -7.353 16.363
O S In
72 18 12
Direct
0.818 0.033 0.802
0.130 0.642 0.076
0.634 0.118 0.136
0.818 0.785 0.302
0.642 0.512 0.924
0.203 0.025 0.591
0.488 0.130 0.924
0.797 0.822 0.909
0.309 0.845 0.257
0.870 0.358 0.924
0.515 0.882 0.364
0.118 0.485 0.864
0.849 0.300 0.531
0.822 0.025 0.091
0.845 0.309 0.243
0.849 0.548 0.031
0.797 0.975 0.409
0.182 0.967 0.198
0.452 0.151 0.531
0.118 0.634 0.364
0.452 0.300 0.031
0.882 0.366 0.636
0.691 0.155 0.743
0.464 0.155 0.243
0.358 0.870 0.576
0.151 0.452 0.969
0.882 0.515 0.136
0.300 0.452 0.469
0.845 0.536 0.743
0.512 0.642 0.576
0.215 0.182 0.802
0.700 0.151 0.031
0.536 0.691 0.257
0.975 0.797 0.091
0.358 0.488 0.076
0.300 0.849 0.969
0.151 0.700 0.469
0.464 0.309 0.743
0.975 0.178 0.591
0.967 0.182 0.302
0.025 0.822 0.409
0.967 0.785 0.802
0.033 0.818 0.698
0.822 0.797 0.591
0.130 0.488 0.576
0.155 0.691 0.757
0.512 0.870 0.076
0.548 0.700 0.969
0.536 0.845 0.757
0.025 0.203 0.909
0.488 0.358 0.424
0.548 0.849 0.469
0.178 0.975 0.909
0.700 0.548 0.531
0.178 0.203 0.409
0.182 0.215 0.698
0.366 0.485 0.364
0.515 0.634 0.864
0.033 0.215 0.198
0.785 0.967 0.698
0.203 0.178 0.091
0.485 0.118 0.636
0.155 0.464 0.257
0.870 0.512 0.424
0.309 0.464 0.757
0.215 0.033 0.302
0.634 0.515 0.636
0.642 0.130 0.424
0.691 0.536 0.243
0.366 0.882 0.864
0.485 0.366 0.136
0.785 0.818 0.198
0.625 0.958 0.417
0.709 0.709 0.250
0.042 0.375 0.917
0.709 0.000 0.750
0.291 0.000 0.250
0.625 0.667 0.917
0.375 0.333 0.083
0.291 0.291 0.750
0.042 0.667 0.417
0.667 0.042 0.083
0.958 0.333 0.583
0.333 0.375 0.417
0.958 0.625 0.083
0.333 0.958 0.917
0.375 0.042 0.583
0.000 0.291 0.250
0.667 0.625 0.583
0.000 0.709 0.750
0.667 0.333 0.687
0.000 0.000 0.853
0.000 0.000 0.353
0.333 0.667 0.813
0.333 0.667 0.020
0.667 0.333 0.980
0.000 0.000 0.147
0.667 0.333 0.187
0.333 0.667 0.520
0.667 0.333 0.480
0.333 0.667 0.313
0.000 0.000 0.647
```



This record from the Materials Project database describes La2S3O12 after structural relaxation. The functional is GGA-PBE.

Values from the calculation:
Energy with MP2020 corrections   -7.460 eV/atom
Magnetization   0.0 μB/f.u.
Volume   1998.5 Å³/cell

POSCAR file:
```
La2S3O12
1.0
9.684 0.000 0.000
-4.842 8.387 0.000
0.000 0.000 24.606
O S La
72 18 12
Direct
0.119 0.476 0.576
0.452 0.310 0.742
0.216 0.192 0.799
0.785 0.809 0.909
0.809 0.785 0.591
0.024 0.216 0.201
0.142 0.691 0.465
0.024 0.809 0.409
0.976 0.191 0.591
0.976 0.785 0.091
0.858 0.548 0.742
0.191 0.215 0.409
0.119 0.643 0.076
0.476 0.119 0.924
0.525 0.882 0.368
0.215 0.024 0.591
0.881 0.357 0.924
0.549 0.691 0.965
0.357 0.881 0.576
0.452 0.142 0.242
0.310 0.452 0.758
0.690 0.548 0.242
0.476 0.357 0.424
0.357 0.882 0.868
0.691 0.142 0.035
0.192 0.976 0.201
0.142 0.690 0.758
0.643 0.119 0.424
0.525 0.643 0.868
0.357 0.476 0.076
0.118 0.643 0.368
0.858 0.310 0.242
0.024 0.215 0.909
0.024 0.808 0.701
0.309 0.451 0.465
0.784 0.976 0.701
0.451 0.309 0.035
0.784 0.808 0.201
0.309 0.858 0.965
0.691 0.549 0.535
0.808 0.024 0.799
0.524 0.881 0.076
0.882 0.525 0.132
0.191 0.976 0.909
0.451 0.142 0.535
0.142 0.451 0.965
0.118 0.475 0.868
0.858 0.309 0.535
0.882 0.357 0.632
0.808 0.784 0.299
0.192 0.216 0.701
0.643 0.118 0.132
0.976 0.784 0.799
0.643 0.525 0.632
0.475 0.118 0.632
0.643 0.524 0.924
0.524 0.643 0.576
0.475 0.357 0.132
0.976 0.192 0.299
0.142 0.452 0.258
0.549 0.858 0.465
0.310 0.858 0.258
0.881 0.524 0.424
0.357 0.475 0.368
0.858 0.549 0.035
0.548 0.858 0.758
0.809 0.024 0.091
0.548 0.690 0.258
0.690 0.142 0.742
0.216 0.024 0.299
0.215 0.191 0.091
0.785 0.976 0.409
0.333 0.959 0.917
0.375 0.041 0.583
0.708 0.708 0.250
0.667 0.625 0.583
0.959 0.625 0.083
0.708 0.000 0.750
0.625 0.959 0.417
0.000 0.292 0.250
0.625 0.667 0.917
0.041 0.375 0.917
0.375 0.333 0.083
0.292 0.292 0.750
0.667 0.041 0.083
0.959 0.333 0.583
0.041 0.667 0.417
0.000 0.708 0.750
0.292 0.000 0.250
0.333 0.375 0.417
0.667 0.333 0.978
0.667 0.333 0.478
0.333 0.667 0.022
0.000 0.000 0.855
0.000 0.000 0.355
0.333 0.667 0.312
0.333 0.667 0.522
0.667 0.333 0.188
0.000 0.000 0.645
0.333 0.667 0.812
0.667 0.333 0.688
0.000 0.000 0.145
```



Question: Which value of energy with MP2020 corrections does entry 1 give?
Answer: -6.178 eV/atom



Question: Which value of energy with MP2020 corrections does entry 3 give?
Answer: -6.456 eV/atom



Question: Look up the volume of the fourth one.
Answer: 1998.5 Å³/cell